# 1
Density functional theory data (PBE-GGA) for a relaxed Dy7C2I12O crystal.

Calculated values
For the electronic total energy, the calculation gives -211.53 eV/cell. As for the total energy after the MP2020 corrections: -4.84 eV/atom. Its density is 5.61 g/cm³. The value obtained for the formation enthalpy at 0 K is -1478 meV per atom.

a = 9.9365 Å, b = 10.5990 Å, c = 16.9944 Å
α = 101.58°, β = 92.90°, γ = 112.97°
Fractional positions:
Dy  0.0247  0.4404  0.1858
Dy  0.0451  0.2532  0.6898
Dy  0.1424  0.4510  0.9801
Dy  0.1642  0.5481  0.3865
Dy  0.2216  0.7591  0.1570
Dy  0.3684  0.8830  0.3572
Dy  0.4345  0.5714  0.2374
Dy  0.5655  0.4286  0.7626
Dy  0.6316  0.1170  0.6428
Dy  0.7784  0.2409  0.8430
Dy  0.8358  0.4519  0.6135
Dy  0.8576  0.5490  0.0199
Dy  0.9549  0.7468  0.3102
Dy  0.9753  0.5596  0.8142
C  0.1358  0.6790  0.2817
C  0.2539  0.6384  0.2640
C  0.7461  0.3616  0.7360
C  0.8642  0.3210  0.7183
I  0.0439  0.1508  0.8523
I  0.0609  0.7476  0.6989
I  0.1062  0.3981  0.5504
I  0.1611  0.0262  0.4104
I  0.1920  0.8030  0.9715
I  0.2260  0.2963  0.1079
I  0.2841  0.5298  0.8161
I  0.3251  0.1539  0.6655
I  0.3759  0.8022  0.5188
I  0.4044  0.4299  0.3734
I  0.4489  0.0547  0.2290
I  0.4631  0.6755  0.0738
I  0.5369  0.3245  0.9262
I  0.5511  0.9453  0.7710
I  0.5956  0.5701  0.6266
I  0.6241  0.1978  0.4812
I  0.6749  0.8461  0.3345
I  0.7159  0.4702  0.1839
I  0.7740  0.7037  0.8921
I  0.8080  0.1970  0.0285
I  0.8389  0.9738  0.5896
I  0.8938  0.6019  0.4496
I  0.9391  0.2524  0.3011
I  0.9561  0.8492  0.1477
O  0.0572  0.5469  0.0813
O  0.9428  0.4531  0.9187


# 2
Density functional theory data (PBE-GGA) for a relaxed MgCuP2O7 crystal.

Calculated values
For the electronic total energy, the calculation gives -147.34 eV/cell. As for the total energy after the MP2020 corrections: -7.13 eV/atom. Its density is 3.47 g/cm³. The value obtained for the formation enthalpy at 0 K is -2484 meV per atom.

a = 6.2058 Å, b = 6.3160 Å, c = 7.0169 Å
α = 68.32°, β = 79.98°, γ = 80.75°
Fractional positions:
Mg  0.1055  0.2186  0.3391
Mg  0.8945  0.7814  0.6609
Cu  0.3208  0.4048  0.7169
Cu  0.6792  0.5952  0.2831
P  0.1721  0.7300  0.2493
P  0.3762  0.8672  0.8051
P  0.6238  0.1328  0.1949
P  0.8279  0.2700  0.7507
O  0.0041  0.5690  0.2558
O  0.0739  0.8910  0.3670
O  0.2349  0.8928  0.0182
O  0.2441  0.7150  0.7493
O  0.3572  0.1161  0.6528
O  0.3702  0.5700  0.3368
O  0.3913  0.2313  0.1491
O  0.6087  0.7687  0.8509
O  0.6298  0.4300  0.6632
O  0.6428  0.8839  0.3472
O  0.7559  0.2850  0.2507
O  0.7651  0.1072  0.9818
O  0.9261  0.1090  0.6330
O  0.9959  0.4310  0.7442


# 3
Density functional theory data (PBE-GGA) for a relaxed EuSbO4 crystal.

Calculated values
For the electronic total energy, the calculation gives -185.85 eV/cell. As for the total energy after the MP2020 corrections: -8.20 eV/atom. Its density is 6.92 g/cm³. The value obtained for the formation enthalpy at 0 K is -2505 meV per atom.

a = 7.7958 Å, b = 5.5079 Å, c = 7.6606 Å
α = 90.00°, β = 99.90°, γ = 90.00°
Fractional positions:
Eu  0.1478  0.2277  0.3952
Eu  0.1478  0.2723  0.8952
Eu  0.8522  0.7277  0.1048
Eu  0.8522  0.7723  0.6048
Sb  0.3384  0.7317  0.1970
Sb  0.3384  0.7683  0.6970
Sb  0.6616  0.2317  0.3030
Sb  0.6616  0.2683  0.8030
O  0.1206  0.5234  0.1726
O  0.1206  0.9766  0.6726
O  0.1717  0.0023  0.1281
O  0.1717  0.4977  0.6281
O  0.3311  0.6341  0.9423
O  0.3311  0.8659  0.4423
O  0.4378  0.0898  0.8016
O  0.4378  0.4102  0.3016
O  0.5622  0.5898  0.6984
O  0.5622  0.9102  0.1984
O  0.6689  0.1341  0.5577
O  0.6689  0.3659  0.0577
O  0.8283  0.5023  0.3719
O  0.8283  0.9977  0.8719
O  0.8794  0.0234  0.3274
O  0.8794  0.4766  0.8274


# 4
Density functional theory data (PBE-GGA) for a relaxed Na4CaHf3P6O24 crystal.

Calculated values
For the electronic total energy, the calculation gives -871.23 eV/cell. As for the total energy after the MP2020 corrections: -8.08 eV/atom. Its density is 3.81 g/cm³. The value obtained for the formation enthalpy at 0 K is -3118 meV per atom.

a = 9.0409 Å, b = 9.0413 Å, c = 22.8231 Å
α = 89.95°, β = 89.92°, γ = 60.22°
Fractional positions:
Na  0.0000  0.0000  0.0000
Na  0.9996  0.2984  0.5892
Na  0.0330  0.2986  0.0901
Na  0.3325  0.6505  0.2536
Na  0.3353  0.2838  0.0000
Na  0.3418  0.0109  0.4982
Na  0.3501  0.6331  0.7597
Na  0.6736  0.3422  0.1723
Na  0.6838  0.9663  0.9156
Na  0.6856  0.9858  0.4162
Na  0.7172  0.6163  0.9995
Na  0.9884  0.6195  0.4983
Ca  0.0072  0.2982  0.4392
Ca  0.0163  0.2998  0.9282
Ca  0.3401  0.6423  0.1141
Hf  0.0181  0.2998  0.7408
Hf  0.0226  0.2995  0.2421
Hf  0.3503  0.6333  0.9024
Hf  0.3533  0.6300  0.6145
Hf  0.3556  0.6280  0.4008
Hf  0.6832  0.9616  0.2765
Hf  0.6842  0.9624  0.0733
Hf  0.6840  0.9661  0.7723
Hf  0.6844  0.9708  0.5720
P  0.0181  0.9928  0.8401
P  0.0191  0.6005  0.3434
P  0.0522  0.6377  0.0065
P  0.0641  0.9118  0.5092
P  0.3170  0.9975  0.3435
P  0.3235  0.2995  0.8401
P  0.3561  0.9264  0.0062
P  0.3597  0.3420  0.5087
P  0.3864  0.9720  0.6723
P  0.3879  0.2494  0.1746
P  0.6341  0.6409  0.5096
P  0.6429  0.3342  0.0096
P  0.6890  0.2588  0.6740
P  0.6979  0.6637  0.1747
P  0.7111  0.6047  0.8399
P  0.7141  0.3007  0.3378
P  0.9695  0.9788  0.1755
P  0.9753  0.6694  0.6720
O  0.0166  0.4897  0.9982
O  0.0378  0.1030  0.7913
O  0.0380  0.4745  0.2931
O  0.0513  0.0859  0.5078
O  0.1444  0.6621  0.9517
O  0.1447  0.8252  0.1775
O  0.1509  0.8026  0.4538
O  0.1554  0.6501  0.6677
O  0.1589  0.6054  0.0608
O  0.1692  0.8143  0.5636
O  0.1854  0.6114  0.3441
O  0.1850  0.8161  0.8420
O  0.1912  0.1029  0.2930
O  0.1940  0.3203  0.7912
O  0.1996  0.3237  0.5077
O  0.2083  0.1096  0.9985
O  0.2091  0.1319  0.6801
O  0.2088  0.2664  0.1796
O  0.2580  0.0893  0.4018
O  0.2689  0.2670  0.8995
O  0.3260  0.8503  0.0605
O  0.3282  0.8203  0.3448
O  0.3348  0.4661  0.8422
O  0.3492  0.4474  0.5633
O  0.3675  0.8110  0.6679
O  0.3755  0.4291  0.4525
O  0.3780  0.8113  0.9513
O  0.3811  0.4205  0.1756
O  0.4720  0.9950  0.6157
O  0.4734  0.1490  0.1161
O  0.4990  0.9662  0.3308
O  0.4999  0.1418  0.2256
O  0.5017  0.1476  0.8261
O  0.5040  0.9472  0.7240
O  0.5217  0.1601  0.5130
O  0.5221  0.4350  0.9567
O  0.5277  0.6592  0.4539
O  0.5289  0.4376  0.6686
O  0.5291  0.9297  0.0106
O  0.5343  0.6137  0.8419
O  0.5382  0.4673  0.3427
O  0.5398  0.6314  0.5645
O  0.5453  0.6365  0.1763
O  0.5729  0.4302  0.0667
O  0.6406  0.8128  0.5132
O  0.6488  0.1564  0.0115
O  0.6630  0.1709  0.7269
O  0.6777  0.1517  0.3282
O  0.6833  0.7839  0.8258
O  0.6898  0.7746  0.2269
O  0.7077  0.7522  0.1163
O  0.7115  0.1473  0.6186
O  0.7973  0.5513  0.8995
O  0.8076  0.3241  0.2835
O  0.8157  0.4917  0.5086
O  0.8178  0.2653  0.3928
O  0.8212  0.4753  0.7913
O  0.8246  0.3025  0.0000
O  0.8494  0.2769  0.6803
O  0.8611  0.9763  0.2270
O  0.8651  0.4875  0.1785
O  0.8661  0.9933  0.1175
O  0.8669  0.9645  0.8260
O  0.8677  0.7542  0.6153
O  0.8684  0.7820  0.3308
O  0.8763  0.8097  0.0116
O  0.8830  0.7880  0.7236
O  0.8846  0.9234  0.5136
O  0.9750  0.1491  0.1786
O  0.9844  0.0796  0.8996
O  0.9885  0.5400  0.4018
O  0.9922  0.4919  0.6800


# 5
Density functional theory data (PBE-GGA) for a relaxed Na2H6C4O7 crystal.

Calculated values
For the electronic total energy, the calculation gives -227.78 eV/cell. As for the total energy after the MP2020 corrections: -6.25 eV/atom. Its density is 1.80 g/cm³. The value obtained for the formation enthalpy at 0 K is -1271 meV per atom.

a = 8.3576 Å, b = 8.3576 Å, c = 14.7977 Å
α = 115.08°, β = 115.08°, γ = 24.78°
Fractional positions:
Na  0.0986  0.6057  0.7790
Na  0.3943  0.9014  0.7210
Na  0.6057  0.0986  0.2790
Na  0.9014  0.3943  0.2210
H  0.2104  0.6106  0.4490
H  0.2426  0.7340  0.4139
H  0.2660  0.7574  0.0861
H  0.3368  0.5998  0.6907
H  0.3894  0.7896  0.0510
H  0.4002  0.6632  0.8093
H  0.5998  0.3368  0.1907
H  0.6106  0.2104  0.9490
H  0.6632  0.4002  0.3093
H  0.7340  0.2426  0.9139
H  0.7574  0.2660  0.5861
H  0.7896  0.3894  0.5510
C  0.0103  0.5059  0.0738
C  0.1718  0.4596  0.0239
C  0.4596  0.1718  0.5239
C  0.4941  0.9897  0.4262
C  0.5059  0.0103  0.5738
C  0.5404  0.8282  0.4761
C  0.8282  0.5404  0.9761
C  0.9897  0.4941  0.9262
O  0.0258  0.5112  0.1637
O  0.1575  0.6867  0.3904
O  0.2081  0.7919  0.7500
O  0.3133  0.8425  0.1096
O  0.3835  0.4066  0.0530
O  0.4066  0.3835  0.5530
O  0.4888  0.9742  0.3363
O  0.5112  0.0258  0.6637
O  0.5934  0.6165  0.4470
O  0.6165  0.5934  0.9470
O  0.6867  0.1575  0.8904
O  0.7919  0.2081  0.2500
O  0.8425  0.3133  0.6096
O  0.9742  0.4888  0.8363


# 6
Density functional theory data (PBE-GGA) for a relaxed DyCoC crystal.

Calculated values
For the electronic total energy, the calculation gives -43.78 eV/cell. Its density is 8.54 g/cm³. The value obtained for the formation enthalpy at 0 K is -315 meV per atom.

a = 3.6235 Å, b = 3.6235 Å, c = 6.9150 Å
α = 90.00°, β = 90.00°, γ = 90.00°
Fractional positions:
Dy  0.0000  0.0000  0.2500
Dy  0.0000  0.0000  0.7500
Co  0.5000  0.5000  0.0000
Co  0.5000  0.5000  0.5000
C  0.0000  0.5000  0.0000
C  0.5000  0.0000  0.5000


# 7
Density functional theory data (PBE-GGA) for a relaxed ErPPd crystal.

Calculated values
For the electronic total energy, the calculation gives -75.93 eV/cell. Its density is 9.52 g/cm³. The value obtained for the formation enthalpy at 0 K is -1274 meV per atom.

a = 6.8835 Å, b = 3.9855 Å, c = 7.7453 Å
α = 90.00°, β = 90.00°, γ = 90.00°
Fractional positions:
Er  0.0314  0.2500  0.1872
Er  0.4686  0.7500  0.6872
Er  0.5314  0.2500  0.3128
Er  0.9686  0.7500  0.8128
P  0.2492  0.2500  0.8767
P  0.2508  0.7500  0.3767
P  0.7492  0.2500  0.6233
P  0.7508  0.7500  0.1233
Pd  0.1474  0.2500  0.5611
Pd  0.3526  0.7500  0.0611
Pd  0.6474  0.2500  0.9389
Pd  0.8526  0.7500  0.4389


# 8
Density functional theory data (PBE-GGA) for a relaxed MoSI crystal.

Calculated values
For the electronic total energy, the calculation gives -73.30 eV/cell. As for the total energy after the MP2020 corrections: -6.40 eV/atom. Its density is 5.85 g/cm³. The value obtained for the formation enthalpy at 0 K is -900 meV per atom.

a = 7.4245 Å, b = 7.4245 Å, c = 7.4245 Å
α = 60.00°, β = 60.00°, γ = 60.00°
Fractional positions:
Mo  0.4052  0.4052  0.4052
Mo  0.4052  0.4052  0.7844
Mo  0.4052  0.7844  0.4052
Mo  0.7844  0.4052  0.4052
S  0.1211  0.6263  0.6263
S  0.6263  0.1211  0.6263
S  0.6263  0.6263  0.1211
S  0.6263  0.6263  0.6263
I  0.1265  0.1265  0.1265
I  0.1265  0.1265  0.6205
I  0.1265  0.6205  0.1265
I  0.6205  0.1265  0.1265


> Which formula does entry 7 have?

ErPPd


> What is the formula in the eighth record?

MoSI


> The lowest formation enthalpy at 0 K belongs to which entry?

Na4CaHf3P6O24


> Which formula does entry 4 have?

Na4CaHf3P6O24